Record 1
VASP calculation (GGA-PBE) on a relaxed structure of Mg5Ti.

Structure (extended XYZ):
```
6
Lattice="1.5517 5.8063 0.0000 -1.5517 5.8063 0.0000 0.0000 1.8916 7.2190" Properties=species:S:1:pos:R:3 pbc="T T T"
Mg 0.0000 12.1418 4.3773
Mg 0.0000 0.0354 0.0543
Mg 0.0000 8.9797 4.7617
Mg 0.0000 4.9877 6.8606
Mg 0.0000 4.4951 2.3894
Ti 0.0000 7.6219 2.0104
```

Results
E_form   0.113 eV/atom
SG   Cm (8)

=====

Record 2
VASP calculation (GGA-PBE) on a relaxed structure of GePClO2.

Structure (extended XYZ):
```
20
Lattice="5.3672 0.0000 0.0000 0.0000 8.5074 0.0000 0.0000 0.0000 10.2995" Properties=species:S:1:pos:R:3 pbc="T T T"
Ge 1.3418 4.9128 6.7295
Ge 4.0254 7.8483 1.5798
Ge 1.3418 0.6591 8.7197
Ge 4.0254 3.5946 3.5700
P 1.3418 8.1462 3.7069
P 1.3418 3.8926 1.4428
P 4.0254 0.3611 6.5926
P 4.0254 4.6148 8.8567
O 2.6127 8.4151 2.8857
O 5.2963 0.0923 7.4138
O 0.0709 8.4151 2.8857
O 0.0709 4.1614 2.2641
O 5.2963 4.3460 8.0354
O 2.7545 4.3460 8.0354
O 2.7545 0.0923 7.4138
O 2.6127 4.1614 2.2641
Cl 4.0254 5.6364 4.7083
Cl 1.3418 7.1247 9.8580
Cl 1.3418 2.8710 5.5912
Cl 4.0254 1.3827 0.4415
```

Results
Total energy after the MP2020 corrections   -5.837 eV/atom
E_form   -1.481 eV/atom
SG   Pnma (62)

=====

Record 3
VASP calculation (GGA-PBE) on a relaxed structure of Ce3NdC8.

Structure (extended XYZ):
```
12
Lattice="3.7975 0.0000 0.0000 0.0000 3.7975 0.0000 0.0000 0.0000 12.7664" Properties=species:S:1:pos:R:3 pbc="T T T"
C 1.8988 1.8988 0.6493
C 1.8988 1.8988 12.1170
C 0.0000 0.0000 2.5562
C 1.8988 1.8988 5.7281
C 1.8988 1.8988 7.0383
C 0.0000 0.0000 10.2101
C 0.0000 0.0000 8.9063
C 0.0000 0.0000 3.8601
Nd 0.0000 0.0000 0.0000
Ce 0.0000 0.0000 6.3832
Ce 1.8988 1.8988 9.5563
Ce 1.8988 1.8988 3.2101
```

Results
E_form   -0.142 eV/atom
SG   P4/mmm (123)

=====

Record 4
VASP calculation (GGA-PBE) on a relaxed structure of GdDyC4.

Structure (extended XYZ):
```
6
Lattice="-1.8534 -1.8534 -3.1227 1.8534 1.8534 -3.1227 3.7104 -3.7104 0.0000" Properties=species:S:1:pos:R:3 pbc="T T T"
C 1.8552 -1.8552 -0.6509
C 0.0000 0.0000 -3.7724
C 1.8552 -1.8552 -5.5945
C 0.0000 0.0000 -2.4729
Gd 0.0000 0.0000 0.0000
Dy 1.8552 -1.8552 -3.1227
```

Results
E_form   -0.181 eV/atom
SG   Cmmm (65)

=====

Record 5
VASP calculation (GGA-PBE) on a relaxed structure of Er3Al2Ni6H7.

Structure (extended XYZ):
```
36
Lattice="-4.5592 4.5592 4.5592 4.5592 -4.5592 4.5592 4.5592 4.5592 -4.5592" Properties=species:S:1:pos:R:3 pbc="T T T"
Ni -1.5320 4.5592 1.5320
Ni 0.0000 3.0271 3.0271
Ni 1.5320 4.5592 -1.5320
Ni 4.5592 1.5320 1.5320
Ni 3.0271 0.0000 3.0271
Ni 1.5320 4.5592 1.5320
Ni 3.0271 3.0271 0.0000
Ni -1.5320 1.5320 4.5592
Ni 1.5320 -1.5320 4.5592
Ni 1.5320 1.5320 4.5592
Ni 4.5592 1.5320 -1.5320
Ni 4.5592 -1.5320 1.5320
Er 0.0000 6.5571 0.0000
Er 2.5612 0.0000 0.0000
Er 0.0000 2.5612 0.0000
Er 0.0000 0.0000 2.5612
Er 6.5571 0.0000 0.0000
Er 0.0000 0.0000 6.5571
H 2.2796 0.0000 4.5592
H 4.5592 0.0000 2.2796
H -3.4353 3.4353 3.4353
H 3.4353 -3.4353 3.4353
H 0.0000 4.5592 2.2796
H 1.1238 1.1238 1.1238
H 0.0000 2.2796 4.5592
H 2.2796 4.5592 0.0000
H 4.5592 2.2796 0.0000
H 3.4353 3.4353 -3.4353
H 1.1238 1.1238 -1.1238
H 1.1238 -1.1238 1.1238
H 3.4353 3.4353 3.4353
H -1.1238 1.1238 1.1238
Al 2.2796 2.2796 2.2796
Al 2.2796 2.2796 -2.2796
Al -2.2796 2.2796 2.2796
Al 2.2796 -2.2796 2.2796
```

Results
Total energy after the MP2020 corrections   -4.953 eV/atom
E_form   -0.530 eV/atom
SG   Im-3m (229)

=====

Record 6
VASP calculation (GGA-PBE) on a relaxed structure of CaTlF3.

Structure (extended XYZ):
```
5
Lattice="1.0392 3.0532 3.1577 -3.8846 2.1506 -0.8112 -2.0524 -2.5297 3.1214" Properties=species:S:1:pos:R:3 pbc="T T T"
F -1.9303 1.0841 -0.3906
F -2.4913 1.3293 2.6997
F -3.3465 3.6741 0.7772
Tl -4.8588 0.8953 0.7913
Ca -1.3996 2.6062 1.1919
```

Results
Polymorph energy (0 for the lowest one)   0.007 eV/atom
Total energy after the MP2020 corrections   -5.324 eV/atom
E_form   -3.301 eV/atom
SG   Amm2 (38)

=====

Record 7
VASP calculation (GGA-PBE) on a relaxed structure of Y4Fe4Co12B3C.

Structure (extended XYZ):
```
24
Lattice="-1.7498 -1.6404 -4.3656 -1.5663 -2.0746 4.2490 -10.1187 9.0114 0.6697" Properties=species:S:1:pos:R:3 pbc="T T T"
Co -4.8212 2.6488 -0.4840
Co -7.8613 3.7571 -2.5231
Co -3.5432 -1.8023 -0.7443
Co -9.9227 7.1720 -0.1561
Co -8.6443 2.7200 -0.3989
Co -2.7697 -0.7778 -2.8426
Co -6.4790 0.7917 -0.5422
Co -1.9056 0.0323 -0.6867
Co -6.9865 4.5772 -0.3406
Co -5.6960 1.8288 -2.6664
Co -10.7868 6.3619 -2.3119
Co -11.5603 5.3375 -0.2137
C -1.6887 -1.7851 -1.4941
Y -1.6275 -1.9298 1.3775
Y -6.6869 2.5759 1.7123
Y -9.2226 4.8341 1.8802
Y -4.1511 0.3176 1.5445
B 0.0000 0.0000 0.0000
B -6.7480 2.7206 -1.1592
B -5.0594 4.5057 0.3349
Fe -7.5926 6.7617 0.5025
Fe -9.2733 4.9695 -0.9921
Fe -4.2228 0.4717 -1.3263
Fe -2.5261 2.2497 0.1672
```

Results
E_form   -0.275 eV/atom
SG   P-6m2 (187)

=====

Record 8
VASP calculation (GGA-PBE) on a relaxed structure of K2ReCl5O.

Structure (extended XYZ):
```
36
Lattice="-1.8626 -4.3267 -5.1336 8.5312 -5.3746 1.4346 -6.4524 -7.8510 8.9581" Properties=species:S:1:pos:R:3 pbc="T T T"
Cl 1.3402 -12.1826 0.6165
Cl -4.6235 -11.4851 2.5428
Cl -0.8395 -10.5769 2.6403
Cl 0.9349 -11.5692 5.3249
Cl 3.1614 -13.0975 3.3131
Cl 6.1855 -9.6416 -1.7232
Cl -3.4885 -9.0101 5.0655
Cl 0.3011 -3.7759 2.1393
Cl 5.3831 -6.3600 -1.6117
Cl -0.7187 -5.9832 -0.0658
Cl -0.0849 -13.7765 3.1198
Cl 2.1845 -7.1211 -2.3960
Cl -1.9682 -10.4313 7.6551
Cl -5.9692 -7.9107 6.9823
Cl 1.0558 -6.9755 2.6188
Cl -2.9452 -4.4549 1.9460
Cl 3.7047 -8.5422 0.1936
Cl -1.1240 -5.3698 4.6426
Cl -5.1668 -11.1923 6.8708
Cl 4.8398 -6.0672 2.7163
O 2.1968 -10.2271 2.8485
O -1.8637 -16.0908 5.0280
O 2.0800 -1.4616 0.2311
O -1.9806 -7.3252 2.4106
Re -1.0656 -5.9026 2.2993
Re -4.0168 -9.1892 7.5364
Re 4.2331 -8.3631 -2.2773
Re 1.2819 -11.6498 2.9598
K -0.2083 -8.4825 5.5200
K -4.4523 -5.8088 4.8064
K 0.4246 -9.0698 -0.2609
K 2.7582 -5.1602 0.3252
K 4.6685 -11.7435 0.4527
K -1.4858 -2.4865 -0.3884
K -2.5420 -12.3921 4.9339
K 1.7020 -15.0658 5.6475
```

Results
Polymorph energy (0 for the lowest one)   0.000 eV/atom
Total energy after the MP2020 corrections   -4.651 eV/atom
E_form   -1.445 eV/atom
SG   Pnma (62)

=====

Record 9
VASP calculation (GGA-PBE) on a relaxed structure of NaCeTiNbO6F.

Structure (extended XYZ):
```
22
Lattice="4.0305 -0.3374 6.1758 -5.1212 -4.4040 2.9796 3.2914 -1.7342 -6.3764" Properties=species:S:1:pos:R:3 pbc="T T T"
O -1.1065 -2.2610 0.1368
O 2.8219 -2.1342 -2.2086
O -3.1035 -4.1082 1.3582
O -1.2244 -2.9324 2.7664
O 0.8436 -3.8997 -1.1446
O 3.4252 -3.5432 0.0126
O 3.3073 -4.2145 2.6423
O -0.6211 -4.3414 4.9876
O 4.0621 -1.6822 4.0437
O 1.3571 -2.5758 3.9236
O 5.3042 -2.3674 1.4208
O -1.8614 -4.7934 -1.2646
Ti -2.5606 -2.2020 1.4898
Ti 1.6457 -0.8671 -3.1882
Ce 3.6609 -1.0358 -0.1003
Ce 0.0000 0.0000 0.0000
Nb -0.5453 -2.3707 4.5777
Nb -0.9149 -3.0691 -1.6984
F 0.5117 -5.3429 1.6421
F 1.6891 -1.1326 1.1369
Na 2.0152 -0.1687 3.0879
Na 1.1004 -3.2378 1.3895
```

Results
Polymorph energy (0 for the lowest one)   0.004 eV/atom
Total energy after the MP2020 corrections   -8.524 eV/atom
E_form   -3.355 eV/atom
SG   Imma (74)

=====

Record 10
VASP calculation (GGA-PBE) on a relaxed structure of Ba4NdYCu8O16.

Structure (extended XYZ):
```
30
Lattice="-1.1256 2.8974 2.3923 -0.4954 -2.5928 2.9073 26.1551 3.7327 7.7854" Properties=species:S:1:pos:R:3 pbc="T T T"
Cu 6.9547 2.5216 3.4338
Cu 24.5236 3.4999 7.2998
Cu 18.0748 4.1086 6.7439
Cu 1.6314 0.2328 0.4856
Cu 10.8630 3.0793 4.5972
Cu 5.5598 0.7935 1.6550
Cu 20.5953 2.9392 6.1305
Cu 14.1664 3.5508 5.5805
Ba 21.7748 3.3755 9.3726
Ba 2.7593 0.6617 3.7124
Ba 9.2571 0.0600 4.2829
Ba 16.4027 1.0798 6.4099
O 14.5154 2.0715 4.3207
O 5.1534 2.2645 2.8977
O 24.2157 4.9850 8.5718
O 19.8761 4.3656 7.2801
O 10.8285 1.8133 6.1143
O 0.8137 1.6452 1.6059
O 11.6397 1.6611 3.4647
O 24.5290 2.2396 8.8288
O 16.3249 3.8588 6.2230
O 1.1307 -1.0997 1.8639
O 18.7947 2.6823 5.5945
O 13.7056 2.2239 6.9707
O 22.3488 3.1895 6.6524
O 3.8063 0.5432 1.1330
O 8.7046 2.7713 3.9547
O 7.3604 1.0504 2.1909
Nd 12.8299 0.5699 5.3464
Y -0.8105 0.1523 2.6498
```

Results
Total energy after the MP2020 corrections   -6.387 eV/atom
E_form   -2.025 eV/atom
SG   Pmmm (47)

=====

Record 11
VASP calculation (GGA-PBE) on a relaxed structure of BaEu3.

Structure (extended XYZ):
```
4
Lattice="-3.8706 -3.5742 3.8057 -1.9579 2.3271 5.7438 -6.2057 1.7285 0.8613" Properties=species:S:1:pos:R:3 pbc="T T T"
Eu -3.0086 0.1203 2.6027
Eu -6.0171 0.2406 5.2054
Eu -9.0257 0.3610 7.8081
Ba 0.0000 0.0000 0.0000
```

Results
E_form   0.048 eV/atom
SG   Fm-3m (225)

=====

Record 12
VASP calculation (GGA-PBE) on a relaxed structure of Tl4P4N4O9.

Structure (extended XYZ):
```
42
Lattice="-9.3424 0.4943 -0.8139 -4.8172 -8.2326 2.8058 -2.1864 2.3253 10.0753" Properties=species:S:1:pos:R:3 pbc="T T T"
Tl -12.1319 -4.6985 2.2730
Tl -9.5351 -2.3657 5.9980
Tl -4.6603 0.2249 -0.3959
Tl -10.6400 -2.8006 10.5139
Tl -4.2232 -0.7334 9.7606
Tl -7.0189 0.5759 5.6275
Tl -9.0829 -5.9233 6.4671
Tl -5.7355 -2.6437 1.6977
O -12.7980 -5.2549 8.1981
O -6.7348 0.5795 2.9926
O -9.6186 -6.0052 9.0578
O -6.6131 -2.4989 10.8800
O -10.9687 0.1519 8.1113
O -7.6398 -3.0259 8.5608
O -6.4415 -5.5636 6.3105
O -13.0351 -3.9394 10.3977
O -8.8091 -6.1496 2.5093
O -11.8284 -7.1441 3.3058
O -5.3982 -5.5556 3.9403
O -4.5086 1.6902 8.7324
O -9.8792 0.1118 5.7857
O -8.7872 -2.3725 3.5290
O -3.3079 -1.4343 1.5919
O -9.7247 -2.9270 1.1846
O -3.5921 -0.1715 3.8140
O -7.5533 0.7076 9.5974
N -2.6565 1.0459 7.0894
N -8.0185 -4.6168 10.4459
N -8.3404 -0.8051 1.6245
N -13.6575 -6.4372 4.9124
N -5.5253 -4.2568 9.4738
N -9.5792 2.1686 7.1809
N -6.7530 -7.5729 4.8836
N -10.8452 -1.1341 2.5768
P -9.4297 -1.8628 2.2514
P -13.7239 -4.7403 9.2848
P -10.6069 0.9293 6.8614
P -6.9571 -3.5383 9.8041
P -7.6808 0.6846 1.8074
P -2.6391 -0.6725 2.7437
P -5.7336 -6.3238 5.1995
P -8.6568 -6.1157 10.2362
```

Results
Total energy after the MP2020 corrections   -6.355 eV/atom
E_form   -1.166 eV/atom
SG   P1 (1)

=====

Q: Which value of E_form does entry 6 give?
A: -3.301 eV/atom

=====

Q: Among the records above, which one has the lowest E_form?
A: NaCeTiNbO6F

=====

Q: The highest E_form belongs to which entry?
A: Mg5Ti